Record 1
First-principles (GGA-PBE) data for a geometry-optimized ErZn2 structure, as listed in Materials Project.

Geometry as extended XYZ:
```
6
Lattice="3.253 -1.718 4.242 -4.457 -3.100 1.429 3.535 -0.119 -4.360" Properties=species:S:1:pos:R:3 pbc="T T T"
Er 1.136 -2.704 2.613
Zn -0.704 -4.099 4.724
Zn -1.164 -3.137 0.434
Er 1.195 -2.232 -1.302
Zn 3.495 -1.799 0.877
Zn 3.035 -0.837 -3.414
```

Values from the calculation:
As for the symmetry: Imma, No. 74.

=====

Record 2
First-principles (GGA-PBE) data for a geometry-optimized YMg structure, as listed in Materials Project.

Geometry as extended XYZ:
```
6
Lattice="-2.688 4.933 -1.801 -0.640 -1.589 5.645 4.429 2.894 1.317" Properties=species:S:1:pos:R:3 pbc="T T T"
Mg -2.873 4.388 0.020
Y 0.349 4.753 -0.332
Mg -1.496 0.002 5.027
Y -2.083 2.093 2.407
Mg 1.100 2.567 1.946
Y 1.662 0.571 4.442
```

Values from the calculation:
As for the symmetry: Amm2, No. 38. The total magnetization comes out at 0.10 μB/f.u.

=====

Record 3
First-principles (GGA-PBE) data for a geometry-optimized U3H2OF12 structure, as listed in Materials Project.

Geometry as extended XYZ:
```
36
Lattice="-2.037 -5.167 -6.497 -6.471 -3.408 4.423 -7.894 0.906 -3.351" Properties=species:S:1:pos:R:3 pbc="T T T"
U -6.980 -3.125 -2.331
F -12.728 -4.455 -2.551
H -10.002 -2.610 -2.784
F -11.643 -1.915 -2.187
F -8.670 -4.978 -6.203
F -11.047 -4.036 -0.351
F -6.000 -5.065 -1.620
U -10.343 -4.143 -7.592
F -8.017 -1.174 -1.563
F -8.355 -3.967 -0.785
O -10.409 -5.819 -3.289
H -10.175 -5.630 -2.363
O -9.264 -3.040 -3.272
U -6.606 -5.860 -6.021
F -6.030 -3.774 -6.623
F -7.263 -4.412 1.747
F -6.991 -1.580 -4.088
F -7.013 -4.499 -4.091
H -9.587 -5.863 -3.811
F -5.822 -2.380 -0.527
F -14.833 -6.401 -3.510
F -9.550 -6.385 -0.526
F -2.909 -1.390 -0.958
F -11.433 -4.969 -5.741
U -13.112 -3.045 -0.774
F -4.545 -5.490 -4.947
F -9.292 -2.480 1.409
U -12.722 -6.014 -4.197
F -16.383 -7.669 -5.417
F -4.830 -2.773 -2.968
F -7.966 -7.013 -4.428
U -9.527 -4.701 1.171
F -13.822 -6.802 -5.999
H -9.417 -2.841 -4.223
F -4.880 -0.223 -1.945
F -10.121 -2.519 -5.936
```

Values from the calculation:
As for the symmetry: Cm, No. 8. The total magnetization comes out at 6.00 μB/f.u.

=====

Record 4
First-principles (GGA-PBE) data for a geometry-optimized KMg6Cu structure, as listed in Materials Project.

Geometry as extended XYZ:
```
16
Lattice="-3.655 -2.375 2.352 4.083 -4.539 1.761 2.647 6.537 10.715" Properties=species:S:1:pos:R:3 pbc="T T T"
Mg 0.320 0.423 6.138
Mg 3.685 1.422 12.376
Mg 1.623 3.714 11.487
K 0.021 3.377 8.657
Mg 4.501 0.253 7.249
Mg 1.136 -0.746 1.011
K 0.739 -2.161 4.180
Mg 3.236 -3.081 1.916
Mg 0.835 2.063 3.381
Cu 2.341 5.782 9.476
Cu 3.059 0.244 4.999
Mg -1.431 -0.209 2.780
Mg 4.200 3.062 9.619
Mg 2.518 2.457 6.393
Mg 1.934 0.790 9.017
Mg 2.341 -1.824 7.010
```

Values from the calculation:
The total magnetization comes out at 0.00 μB/f.u. The distance to the lowest polymorph of the same formula comes out at 0.0 meV per atom.

=====

Record 5
First-principles (GGA-PBE) data for a geometry-optimized KMg6Bi structure, as listed in Materials Project.

Geometry as extended XYZ:
```
16
Lattice="-2.955 1.717 4.101 -2.078 -6.224 1.108 9.382 -1.796 7.512" Properties=species:S:1:pos:R:3 pbc="T T T"
Mg 2.142 -3.721 3.101
Mg 7.872 -1.507 6.303
Mg 5.572 -5.435 9.764
Mg 0.191 -1.724 0.859
Mg 3.207 -0.614 2.567
K 0.102 0.556 3.314
Mg -0.828 -4.776 1.403
Mg 0.867 -4.579 6.016
Mg 6.858 -4.624 6.877
Mg 1.920 -1.425 5.454
Mg 6.597 -2.365 9.218
Bi 4.749 -0.333 7.036
Mg 3.843 -5.734 5.169
Bi -0.981 -2.548 3.834
Mg 4.902 -2.561 4.604
K 3.753 -3.454 7.624
```

Values from the calculation:
The total magnetization comes out at 0.00 μB/f.u. The distance to the lowest polymorph of the same formula comes out at 0.0 meV per atom.

=====

Record 6
First-principles (GGA-PBE) data for a geometry-optimized Ta12Co3Pt3Se32 structure, as listed in Materials Project.

Geometry as extended XYZ:
```
50
Lattice="1.720 7.147 0.000 -1.720 7.147 0.000 0.000 0.467 47.819" Properties=species:S:1:pos:R:3 pbc="T T T"
Se 0.000 6.895 42.850
Pt 0.000 14.292 0.002
Se 0.000 10.371 16.533
Se 0.000 6.393 36.947
Ta 0.000 13.983 26.592
Se 0.000 11.299 7.367
Se 0.000 8.392 10.918
Se 0.000 2.833 19.584
Ta 0.000 8.043 13.599
Pt 0.000 12.973 31.996
Ta 0.000 13.159 5.643
Ta 0.000 6.607 2.661
Se 0.000 7.725 31.871
Ta 0.000 6.213 29.512
Se 0.000 5.345 25.285
Ta 0.000 1.605 42.195
Se 0.000 4.545 4.317
Se 0.000 7.183 15.981
Se 0.000 13.417 45.741
Se 0.000 10.215 37.570
Se 0.000 13.815 18.945
Se 0.000 3.460 40.467
Co 0.000 9.124 39.695
Se 0.000 9.444 22.499
Se 0.000 6.039 21.824
Se 0.000 4.228 31.136
Se 0.000 7.863 4.960
Se 0.000 14.564 39.905
Ta 0.000 0.780 21.233
Se 0.000 0.195 7.921
Se 0.000 4.579 10.261
Se 0.000 8.717 25.979
Pt 0.000 7.394 23.891
Ta 0.000 8.515 18.269
Se 0.000 10.226 43.507
Se 0.000 1.482 34.842
Se 0.000 0.931 28.886
Se 0.000 1.350 2.076
Ta 0.000 1.162 37.533
Ta 0.000 8.156 45.142
Se 0.000 11.928 34.340
Se 0.000 11.908 28.163
Se 0.000 12.237 1.398
Se 0.000 2.517 46.421
Se 0.000 13.282 12.988
Co 0.000 5.643 8.127
Co 0.000 1.736 15.774
Se 0.000 2.802 13.641
Ta 0.000 6.709 34.282
Ta 0.000 13.633 10.307
```

Values from the calculation:
As for the symmetry: Cm, No. 8. The total magnetization comes out at 1.31 μB/f.u.

=====

Record 7
First-principles (GGA-PBE) data for a geometry-optimized Fe2B structure, as listed in Materials Project.

Geometry as extended XYZ:
```
3
Lattice="-2.222 -0.371 2.671 2.226 -2.206 1.545 1.092 1.926 1.176" Properties=species:S:1:pos:R:3 pbc="T T T"
B 0.548 -0.326 2.696
Fe 1.113 -1.103 0.773
Fe -1.111 -0.185 1.336
```

Values from the calculation:
As for the symmetry: P4/mmm, No. 123. The total magnetization comes out at 4.12 μB/f.u.

=====

Record 8
First-principles (GGA-PBE) data for a geometry-optimized Nb2SiSb2 structure, as listed in Materials Project.

Geometry as extended XYZ:
```
5
Lattice="2.874 0.000 0.000 0.000 2.874 0.000 0.000 0.000 14.784" Properties=species:S:1:pos:R:3 pbc="T T T"
Sb 1.437 1.437 9.360
Nb 1.437 1.437 2.514
Nb 1.437 1.437 12.270
Sb 1.437 1.437 5.424
Si 1.437 1.437 0.000
```

Values from the calculation:
As for the symmetry: P4/mmm, No. 123. The total magnetization comes out at 0.04 μB/f.u.

=====

Record 9
First-principles (GGA-PBE) data for a geometry-optimized Al2O3 structure, as listed in Materials Project.

Geometry as extended XYZ:
```
80
Lattice="-2.362 1.528 4.909 -3.392 -4.522 -0.225 12.982 -16.955 11.524" Properties=species:S:1:pos:R:3 pbc="T T T"
Al 5.108 -9.452 10.394
Al -3.027 -5.204 6.633
O 1.304 -2.776 3.107
O 3.284 -11.417 6.896
O 5.079 -7.392 4.799
O 7.735 -11.129 8.843
O 4.951 -9.188 6.998
Al -1.448 -2.650 5.019
Al -0.128 -1.786 2.022
O 1.224 -6.299 7.415
O -1.461 -0.757 1.295
Al -1.786 -4.030 1.921
O 3.250 -13.284 9.133
O 8.690 -19.192 14.914
O 1.185 -4.720 5.305
O 2.277 -10.761 9.211
Al -0.213 -5.360 6.431
O 8.754 -17.403 13.018
O 10.352 -16.960 15.026
Al 6.379 -12.265 11.798
Al 1.440 -4.763 8.645
Al 2.120 -10.497 5.815
O 7.536 -16.606 15.168
O 10.344 -15.061 13.100
O 8.868 -13.970 8.659
Al 4.093 -6.823 8.889
O 9.247 -14.367 15.389
Al -2.877 -1.497 2.342
Al 3.448 -11.695 10.295
Al 9.075 -13.991 11.980
O 2.492 -7.082 5.020
O 3.929 -10.362 11.489
Al -4.468 -3.929 3.869
O 0.625 -9.466 4.863
O 7.680 -13.201 11.059
O 3.979 -6.665 7.075
O -1.649 -4.421 5.447
O 6.004 -13.650 8.794
Al 9.015 -15.919 14.288
Al 11.696 -16.020 12.340
O 8.878 -15.529 10.762
Al 6.224 -11.892 8.327
O 7.182 -15.964 8.468
O 0.046 -3.985 7.741
O -1.526 -2.546 3.190
Al 2.583 -5.513 6.221
O 4.736 -12.867 11.189
O -0.564 -5.160 2.951
O 7.792 -14.789 13.258
Al 3.614 -9.975 8.104
O -0.307 -3.343 1.041
O -1.640 -5.979 7.550
O 3.299 -9.587 4.720
O 7.147 -18.049 10.714
Al 8.677 -17.299 11.190
Al 4.646 -14.436 9.987
Al 3.780 -8.254 5.914
Al 0.850 -7.684 4.411
Al 7.441 -14.589 9.778
Al 1.083 -4.560 3.551
O -3.124 -2.989 1.183
O 6.603 -10.483 11.346
O -0.451 -6.748 5.149
O 3.945 -8.532 9.312
O 0.082 -1.900 5.495
O -2.019 -5.582 0.820
Al 3.136 -13.126 7.320
O 5.925 -17.173 13.102
Al 1.005 -8.057 7.882
O -3.115 -4.888 3.109
O 2.356 -8.986 7.062
O 4.872 -10.963 9.146
Al 5.789 -15.186 7.564
O 6.044 -15.229 10.903
Al 7.356 -18.163 14.187
Al 6.145 -15.389 12.658
O 2.149 -12.557 11.410
Al 10.256 -14.745 9.576
O -0.506 -8.820 7.366
Al -1.847 -5.958 4.228
```

Values from the calculation:
As for the symmetry: P2/c, No. 13. The total magnetization comes out at 0.00 μB/f.u.

=====

Record 10
First-principles (GGA-PBE) data for a geometry-optimized Na2O structure, as listed in Materials Project.

Geometry as extended XYZ:
```
102
Lattice="-6.330 5.892 8.692 -7.973 -7.722 -0.836 5.566 -7.392 8.812" Properties=species:S:1:pos:R:3 pbc="T T T"
O -8.167 -4.106 5.853
Na -5.080 -6.793 7.964
Na -8.986 0.480 7.500
Na -3.905 -1.839 5.225
Na -2.887 0.502 2.325
Na -10.265 -3.749 6.356
Na -10.060 -4.277 3.476
Na 2.444 -4.726 9.623
Na -6.510 -0.670 7.186
O -1.947 -4.377 3.531
Na -7.687 -5.243 1.811
Na -2.604 -2.404 2.664
Na -7.066 -3.359 7.824
Na -6.999 -7.630 0.603
O -6.925 -7.989 7.642
Na -10.392 -1.290 9.912
O -5.027 -2.440 7.151
Na -4.565 -8.066 5.123
Na 0.255 -3.993 11.696
Na 3.436 -6.224 7.577
Na -2.277 -7.144 8.580
O -8.312 -1.325 8.921
Na -6.040 -3.650 5.209
Na -6.443 -7.949 16.058
Na -8.708 -2.013 4.915
Na -5.077 -1.820 9.552
Na -5.829 -9.955 7.776
Na 0.542 -4.275 7.340
O -0.963 -0.624 2.433
O -1.330 -3.571 13.325
O -2.756 -2.273 10.029
O 0.529 -3.591 9.513
Na -7.195 -6.063 6.307
Na 0.568 -4.882 4.129
O -1.521 -5.337 7.134
Na -3.018 -1.617 7.930
Na 0.218 -7.692 10.305
Na -5.051 -9.739 2.891
Na -2.523 -5.933 5.107
O -7.412 -4.638 9.719
Na -5.570 0.254 4.421
Na -5.228 -4.801 10.362
O -11.718 -3.573 9.324
Na -4.343 -4.659 2.961
Na -3.059 -3.501 11.882
Na -1.469 -9.854 5.597
Na -7.481 0.287 10.419
Na 0.821 -4.046 14.221
O -3.605 1.637 4.114
Na -7.200 -8.645 13.484
O -5.461 -9.955 13.420
Na -7.375 -6.871 9.603
Na -3.291 0.950 6.383
Na -5.091 -1.651 12.689
O -4.264 -11.532 7.098
Na -0.498 -1.614 9.768
O -4.008 -6.753 10.085
Na -4.774 -4.927 14.435
Na -9.337 -3.577 9.066
Na -1.293 -3.235 5.430
Na -3.036 -6.597 12.177
O -5.654 -5.630 0.964
O -5.365 -3.873 12.456
Na -3.031 -0.301 11.160
Na -1.430 -1.017 0.211
Na -0.052 -11.261 8.302
O -7.707 0.066 5.302
O -3.046 -9.275 3.897
Na -1.616 -1.243 13.316
Na -4.991 -11.803 4.970
O -3.788 -0.608 14.176
Na -1.545 -5.210 15.037
O -6.674 -6.048 14.830
O -5.243 0.018 10.885
O -0.863 -8.974 8.567
Na -5.022 4.150 8.078
Na -4.739 -8.987 11.066
O -4.989 2.016 7.319
Na 0.352 -2.231 3.099
Na -1.493 0.225 4.430
O -4.836 -5.862 5.637
Na -2.408 -12.624 6.419
Na -2.912 -2.802 14.890
O -3.440 -4.549 16.289
Na 0.217 -1.220 6.605
Na 1.456 -9.208 8.660
O -8.240 -7.438 11.655
Na -8.876 -5.326 11.401
Na -3.780 -4.390 7.032
O -1.968 -1.073 6.100
Na -1.625 -4.182 9.195
O 1.131 -2.867 5.183
O -4.877 -1.984 3.162
O -8.552 -9.003 15.644
Na -1.228 -9.864 10.831
Na -4.644 1.783 9.517
Na -7.491 -2.931 11.264
O -3.279 -10.738 10.683
O 1.987 -7.058 9.046
Na -6.520 -6.020 12.555
Na 0.349 -7.034 7.328
Na -2.914 -10.318 8.516
```

Values from the calculation:
As for the symmetry: P1, No. 1. The total magnetization comes out at 0.00 μB/f.u.

=====

Record 11
First-principles (GGA-PBE) data for a geometry-optimized LaMn3Ni2 structure, as listed in Materials Project.

Geometry as extended XYZ:
```
18
Lattice="-3.031 3.808 7.721 -0.820 -9.000 -1.278 3.727 -0.589 1.754" Properties=species:S:1:pos:R:3 pbc="T T T"
Mn -1.516 1.904 3.860
Ni -3.011 -2.639 5.514
Mn -0.410 -4.500 -0.639
Mn -0.816 -3.906 5.359
Ni -2.633 1.504 6.102
Ni -1.238 -0.249 2.548
Mn -1.926 -2.596 3.221
Mn 1.614 -3.033 0.488
Mn 1.293 -6.556 -0.012
La 0.000 0.000 0.000
Ni -1.218 -6.696 0.341
Mn 0.692 -1.874 2.837
La -0.430 -0.756 5.598
Mn -0.245 2.355 6.248
Ni -0.840 -2.553 0.929
Mn 0.941 0.864 3.226
Ni -2.613 -4.943 3.895
La 0.307 -5.025 2.598
```

Values from the calculation:
As for the symmetry: P6/mmm, No. 191. The total magnetization comes out at 11.21 μB/f.u.

=====

Record 12
First-principles (GGA-PBE) data for a geometry-optimized Gd2Zn6Ge3 structure, as listed in Materials Project.

Geometry as extended XYZ:
```
11
Lattice="8.747 0.000 0.000 -4.374 7.576 0.000 0.000 0.000 3.322" Properties=species:S:1:pos:R:3 pbc="T T T"
Zn 3.423 5.929 3.322
Zn 2.188 7.576 1.661
Zn -3.281 5.683 1.661
Ge -1.998 3.462 1.661
Zn 1.093 1.893 1.661
Ge -0.377 7.575 1.661
Gd 4.374 2.525 0.000
Ge 2.375 4.114 1.661
Zn -2.472 7.576 0.000
Zn -0.951 1.647 0.000
Gd 0.000 5.050 3.322
```

Values from the calculation:
As for the symmetry: P-62m, No. 189. The total magnetization comes out at 14.25 μB/f.u. The distance to the lowest polymorph of the same formula comes out at 203.1 meV per atom.

=====

Number 1: final energy -0.1012 hartree per atom, energy relative to the elements -390 meV per atom. Number 2: final energy -0.1474 hartree per atom, energy relative to the elements 21 meV per atom. Number 3: final energy -0.2563 hartree per atom, energy relative to the elements -3510 meV per atom. Number 4: final energy -0.0608 hartree per atom, energy relative to the elements 196 meV per atom. Number 5: final energy -0.0642 hartree per atom, energy relative to the elements 79 meV per atom. Number 6: final energy -0.2423 hartree per atom, energy relative to the elements -1022 meV per atom. Number 7: final energy -0.2869 hartree per atom, energy relative to the elements 66 meV per atom. Number 8: final energy -0.2257 hartree per atom, energy relative to the elements 559 meV per atom. Number 9: final energy -0.2736 hartree per atom, energy relative to the elements -3391 meV per atom. Number 10: final energy -0.1321 hartree per atom, energy relative to the elements -1292 meV per atom. Number 11: final energy -0.2701 hartree per atom, energy relative to the elements -19 meV per atom. Number 12: final energy -0.1728 hartree per atom, energy relative to the elements -195 meV per atom.